Record 1
Compound: KNiPH2O5
Source: Materials Project
Functional: GGA+U
Structure: relaxed

Results
E (MP2020) ... -255.8 eV/cell
ΔE_f ... -2.0124 eV/atom
Maximum piezoelectric response ... 1.74 C/m²

a b c (Å): 5.6103 8.3610 9.5414
angles (deg): 89.99 90.00 90.00
Element x y z (fractional)
K (0.5000, 0.4577, 0.3154)
K (0.5000, 0.4577, 0.8154)
K (0.0000, 0.5428, 0.0654)
K (0.0000, 0.5428, 0.5654)
Ni (0.4997, 0.0173, 0.7523)
Ni (0.0000, 0.9828, 0.5025)
Ni (0.5000, 0.0174, 0.2522)
Ni (0.0003, 0.9828, 0.0026)
P (0.5000, 0.7913, 0.0390)
P (0.5000, 0.7913, 0.5390)
P (0.0000, 0.2085, 0.2891)
P (0.0000, 0.2085, 0.7891)
H (0.6403, 0.1911, 0.0427)
H (0.6403, 0.1911, 0.5428)
H (0.3597, 0.1911, 0.0427)
H (0.3596, 0.1911, 0.5428)
H (0.8596, 0.8092, 0.2929)
H (0.8596, 0.8092, 0.7929)
H (0.1404, 0.8092, 0.2929)
H (0.1404, 0.8091, 0.7929)
O (0.5000, 0.8217, 0.3798)
O (0.5000, 0.8217, 0.8797)
O (0.0000, 0.1783, 0.1298)
O (0.0000, 0.1783, 0.6298)
O (0.5000, 0.6112, 0.0681)
O (0.5000, 0.6112, 0.5681)
O (0.0000, 0.3886, 0.3181)
O (0.0000, 0.3884, 0.8185)
O (0.5000, 0.2078, 0.1039)
O (0.5000, 0.2078, 0.6039)
O (0.0000, 0.7923, 0.3539)
O (0.0000, 0.7923, 0.8539)
O (0.7214, 0.8758, 0.1119)
O (0.7215, 0.8757, 0.6119)
O (0.2785, 0.8757, 0.1119)
O (0.2785, 0.8757, 0.6119)
O (0.7784, 0.1240, 0.3619)
O (0.7783, 0.1238, 0.8618)
O (0.2217, 0.1240, 0.3619)
O (0.2218, 0.1239, 0.8619)


Record 2
Compound: K2NiH12S2O14
Source: Materials Project
Functional: GGA+U
Structure: relaxed

Results
E (MP2020) ... -352.1 eV/cell
ΔE_f ... -1.6055 eV/atom

a b c (Å): 12.3036 6.2004 9.0242
angles (deg): 75.37 90.00 90.00
Element x y z (fractional)
K (0.3447, 0.6554, 0.1360)
K (0.6553, 0.3446, 0.8640)
K (0.8447, 0.3446, 0.3640)
K (0.1553, 0.6554, 0.6360)
Ni (0.0000, 0.0000, 0.0000)
Ni (0.5000, 0.0000, 0.5000)
H (0.5996, 0.9271, 0.7700)
H (0.3113, 0.0008, 0.3602)
H (0.0878, 0.6801, 0.2169)
H (0.8113, 0.9992, 0.1398)
H (0.9004, 0.9271, 0.2700)
H (0.9122, 0.3199, 0.7831)
H (0.1887, 0.0008, 0.8602)
H (0.4004, 0.0729, 0.2300)
H (0.4416, 0.3392, 0.6005)
H (0.3755, 0.9119, 0.7500)
H (0.3551, 0.3282, 0.4723)
H (0.6449, 0.6718, 0.5277)
H (0.1449, 0.3282, 0.9723)
H (0.0996, 0.0729, 0.7300)
H (0.4122, 0.6801, 0.7169)
H (0.9416, 0.6608, 0.8995)
H (0.5878, 0.3199, 0.2831)
H (0.6887, 0.9992, 0.6398)
H (0.5584, 0.6608, 0.3995)
H (0.6245, 0.0881, 0.2500)
H (0.8755, 0.0881, 0.7500)
H (0.1245, 0.9119, 0.2500)
H (0.0584, 0.3392, 0.1005)
H (0.8551, 0.6718, 0.0277)
S (0.3640, 0.2741, 0.9111)
S (0.8640, 0.7259, 0.5889)
S (0.6360, 0.7259, 0.0889)
S (0.1360, 0.2741, 0.4111)
O (0.4331, 0.3001, 0.5010)
O (0.2322, 0.4221, 0.4103)
O (0.8881, 0.1652, 0.8323)
O (0.1139, 0.9659, 0.8314)
O (0.9331, 0.6999, 0.9990)
O (0.3268, 0.0527, 0.8906)
O (0.5669, 0.6999, 0.4990)
O (0.8861, 0.0341, 0.1686)
O (0.1119, 0.8348, 0.1677)
O (0.3881, 0.8348, 0.6677)
O (0.0625, 0.3851, 0.2819)
O (0.4246, 0.2440, 0.0574)
O (0.4375, 0.3851, 0.7819)
O (0.0669, 0.3001, 0.0010)
O (0.6119, 0.1652, 0.3323)
O (0.3861, 0.9659, 0.3314)
O (0.0754, 0.2440, 0.5574)
O (0.5625, 0.6149, 0.2181)
O (0.7322, 0.5779, 0.0897)
O (0.8268, 0.9473, 0.6094)
O (0.1732, 0.0527, 0.3906)
O (0.9246, 0.7560, 0.4426)
O (0.9375, 0.6149, 0.7181)
O (0.6732, 0.9473, 0.1094)
O (0.2678, 0.4221, 0.9103)
O (0.7678, 0.5779, 0.5897)
O (0.5754, 0.7560, 0.9426)
O (0.6139, 0.0341, 0.6686)


Record 3
Compound: K2NiH12Se2O14
Source: Materials Project
Functional: GGA+U
Structure: relaxed

Results
E (MP2020) ... -336.8 eV/cell
ΔE_f ... -1.4008 eV/atom

a b c (Å): 12.4855 6.3278 9.1998
angles (deg): 76.08 90.00 90.00
Element x y z (fractional)
K (0.1591, 0.6597, 0.6372)
K (0.6591, 0.3403, 0.8628)
K (0.8409, 0.3403, 0.3628)
K (0.3409, 0.6597, 0.1372)
Ni (0.5000, 0.0000, 0.5000)
Ni (0.0000, 0.0000, 0.0000)
H (0.4145, 0.6894, 0.7041)
H (0.9145, 0.3106, 0.7959)
H (0.5855, 0.3106, 0.2959)
H (0.0855, 0.6894, 0.2041)
H (0.3728, 0.9106, 0.7411)
H (0.8728, 0.0894, 0.7589)
H (0.6272, 0.0894, 0.2589)
H (0.1272, 0.9106, 0.2411)
H (0.4049, 0.0730, 0.2347)
H (0.9049, 0.9270, 0.2653)
H (0.5951, 0.9270, 0.7653)
H (0.0951, 0.0730, 0.7347)
H (0.3169, 0.9915, 0.3636)
H (0.8169, 0.0085, 0.1364)
H (0.6831, 0.0085, 0.6364)
H (0.1831, 0.9915, 0.8636)
H (0.5493, 0.6639, 0.4019)
H (0.0493, 0.3361, 0.0981)
H (0.4507, 0.3361, 0.5981)
H (0.9507, 0.6639, 0.9019)
H (0.6371, 0.6655, 0.5282)
H (0.1371, 0.3345, 0.9718)
H (0.3629, 0.3345, 0.4718)
H (0.8629, 0.6655, 0.0282)
Se (0.3632, 0.2730, 0.9117)
Se (0.8632, 0.7270, 0.5883)
Se (0.6368, 0.7270, 0.0883)
Se (0.1368, 0.2730, 0.4117)
O (0.2575, 0.4374, 0.9114)
O (0.7575, 0.5626, 0.5886)
O (0.7425, 0.5626, 0.0886)
O (0.2425, 0.4374, 0.4114)
O (0.4301, 0.2445, 0.0726)
O (0.9301, 0.7555, 0.4274)
O (0.5699, 0.7555, 0.9274)
O (0.0699, 0.2445, 0.5726)
O (0.4456, 0.3944, 0.7720)
O (0.9456, 0.6056, 0.7280)
O (0.5544, 0.6056, 0.2280)
O (0.0544, 0.3944, 0.2720)
O (0.3212, 0.0296, 0.8890)
O (0.8212, 0.9704, 0.6110)
O (0.6788, 0.9704, 0.1110)
O (0.1788, 0.0296, 0.3890)
O (0.3866, 0.8371, 0.6585)
O (0.8866, 0.1629, 0.8415)
O (0.6134, 0.1629, 0.3415)
O (0.1134, 0.8371, 0.1585)
O (0.3918, 0.9677, 0.3335)
O (0.8918, 0.0323, 0.1665)
O (0.6082, 0.0323, 0.6665)
O (0.1082, 0.9677, 0.8335)
O (0.5609, 0.7020, 0.4992)
O (0.0609, 0.2980, 0.0008)
O (0.4391, 0.2980, 0.5008)
O (0.9391, 0.7020, 0.9992)


Record 4
Compound: KNi2H3Se2O10
Source: Materials Project
Functional: GGA+U
Structure: relaxed

Results
E (MP2020) ... -208.2 eV/cell
ΔE_f ... -1.3765 eV/atom

a b c (Å): 5.5928 10.7475 7.8256
angles (deg): 80.21 70.85 100.40
Element x y z (fractional)
K (0.7483, 0.2497, 0.5015)
K (0.2483, 0.7497, 0.5015)
Ni (0.7430, 0.7500, 0.9986)
Ni (0.4961, 0.9964, 0.9986)
Ni (0.2433, 0.2504, 0.9984)
Ni (0.9966, 0.4963, 0.9987)
H (0.0198, 0.3398, 0.7902)
H (0.5199, 0.8398, 0.7903)
H (0.4689, 0.1562, 0.2163)
H (0.9690, 0.6562, 0.2163)
H (0.7177, 0.2390, 0.0140)
H (0.2178, 0.7390, 0.0140)
Se (0.3786, 0.4598, 0.2804)
Se (0.8785, 0.9598, 0.2803)
Se (0.1166, 0.0388, 0.7209)
Se (0.6166, 0.5388, 0.7208)
O (0.1983, 0.3994, 0.5029)
O (0.6983, 0.8994, 0.5028)
O (0.2977, 0.0994, 0.4981)
O (0.7977, 0.5993, 0.4980)
O (0.9706, 0.3232, 0.9257)
O (0.4706, 0.8232, 0.9258)
O (0.5203, 0.1732, 0.0801)
O (0.0203, 0.6732, 0.0801)
O (0.2084, 0.4029, 0.1501)
O (0.7085, 0.9030, 0.1500)
O (0.2880, 0.0961, 0.8506)
O (0.7880, 0.5961, 0.8506)
O (0.6551, 0.4094, 0.2269)
O (0.1551, 0.9095, 0.2269)
O (0.9419, 0.1234, 0.2274)
O (0.4418, 0.6233, 0.2275)
O (0.8403, 0.0892, 0.7744)
O (0.3403, 0.5892, 0.7744)
O (0.5546, 0.3754, 0.7744)
O (0.0545, 0.8754, 0.7745)